Entry 1
In2Au3: optimized geometry, PBE.

Cell lengths 4.716, 4.716, 5.759 Å; angles 90.00, 90.00, 120.00 degrees
Atoms (fractional coordinates):
In 0.333 0.667 0.174
In 0.667 0.333 0.826
Au 0.000 0.000 0.500
Au 0.333 0.667 0.685
Au 0.667 0.333 0.315

***

Entry 2
In2Au3: optimized geometry, PBE.

Cell lengths 4.636, 4.636, 5.989 Å; angles 90.00, 90.00, 120.00 degrees
Atoms (fractional coordinates):
In 0.333 0.667 0.180
In 0.667 0.333 0.820
Au 0.000 0.000 0.000
Au 0.333 0.667 0.647
Au 0.667 0.333 0.353

Computed properties:
Total magnetic moment ... 0.01 μB/f.u.

***

Winner for stability: entry 1

***

Entry 1
Mg9Si5: optimized geometry, PBE.

Cell lengths 7.238, 7.244, 12.114 Å; angles 89.45, 89.24, 60.30 degrees
Atoms (fractional coordinates):
Mg 0.000 0.000 0.000
Mg 0.001 0.989 0.350
Mg 0.148 0.413 0.672
Mg 0.222 0.291 0.349
Mg 0.236 0.276 0.004
Mg 0.260 0.030 0.800
Mg 0.285 0.608 0.173
Mg 0.304 0.604 0.850
Mg 0.321 0.605 0.512
Mg 0.523 0.771 0.001
Mg 0.524 0.769 0.350
Mg 0.580 0.096 0.513
Mg 0.618 0.723 0.667
Mg 0.629 0.044 0.175
Mg 0.824 0.385 0.846
Mg 0.836 0.351 0.513
Mg 0.844 0.389 0.173
Mg 0.951 0.949 0.669
Si 0.249 0.016 0.540
Si 0.250 0.015 0.177
Si 0.572 0.343 0.682
Si 0.581 0.127 0.844
Si 0.584 0.351 0.342
Si 0.586 0.338 0.012
Si 0.874 0.740 0.839
Si 0.912 0.687 0.499
Si 0.917 0.681 0.291
Si 0.924 0.678 0.039

Computed properties:
Total magnetic moment ... 0.00 μB/f.u.

***

Entry 2
Mg9Si5: optimized geometry, PBE.

Cell lengths 7.183, 7.194, 13.195 Å; angles 87.63, 76.89, 60.48 degrees
Atoms (fractional coordinates):
Mg 0.000 0.000 0.000
Mg 0.006 0.340 0.167
Mg 0.050 0.579 0.607
Mg 0.118 0.895 0.489
Mg 0.135 0.539 0.327
Mg 0.184 0.254 0.853
Mg 0.273 0.832 0.174
Mg 0.316 0.477 0.009
Mg 0.378 0.160 0.486
Mg 0.494 0.353 0.677
Mg 0.521 0.112 0.167
Mg 0.538 0.876 0.680
Mg 0.603 0.754 0.325
Mg 0.687 0.036 0.849
Mg 0.732 0.678 0.026
Mg 0.807 0.425 0.491
Mg 0.815 0.085 0.326
Mg 0.962 0.218 0.691
Si 0.094 0.674 0.849
Si 0.183 0.129 0.333
Si 0.219 0.785 0.686
Si 0.352 0.057 0.014
Si 0.464 0.481 0.414
Si 0.578 0.438 0.211
Si 0.738 0.366 0.906
Si 0.777 0.823 0.481
Si 0.815 0.611 0.804
Si 0.936 0.759 0.163

Computed properties:
Total magnetic moment ... 0.00 μB/f.u.

***

Winner for stability: entry 1

***

Entry 1
Na5Si6O18: optimized geometry, PBE.

Cell lengths 7.778, 7.817, 9.607 Å; angles 110.92, 95.07, 115.36 degrees
Atoms (fractional coordinates):
Na 0.000 0.000 0.000
Na 0.176 0.271 0.508
Na 0.445 0.771 0.015
Na 0.555 0.229 0.985
Na 0.824 0.729 0.492
Si 0.080 0.728 0.229
Si 0.113 0.680 0.738
Si 0.309 0.498 0.241
Si 0.691 0.502 0.759
Si 0.887 0.320 0.262
Si 0.920 0.272 0.771
O 0.033 0.776 0.084
O 0.096 0.605 0.543
O 0.102 0.323 0.254
O 0.105 0.482 0.771
O 0.110 0.936 0.372
O 0.272 0.685 0.227
O 0.306 0.895 0.842
O 0.378 0.386 0.097
O 0.500 0.414 0.618
O 0.500 0.586 0.382
O 0.622 0.614 0.903
O 0.694 0.105 0.158
O 0.728 0.315 0.773
O 0.890 0.064 0.628
O 0.895 0.518 0.229
O 0.898 0.677 0.746
O 0.904 0.395 0.457
O 0.967 0.224 0.916

Computed properties:
Total magnetic moment ... 5.00 μB/f.u.

***

Entry 2
Na5Si6O18: optimized geometry, PBE.

Cell lengths 7.364, 7.398, 10.426 Å; angles 89.83, 69.52, 60.63 degrees
Atoms (fractional coordinates):
Na 0.000 0.000 0.000
Na 0.317 0.871 0.499
Na 0.378 0.312 0.998
Na 0.622 0.688 0.002
Na 0.683 0.129 0.501
Si 0.071 0.185 0.252
Si 0.159 0.346 0.756
Si 0.410 0.581 0.745
Si 0.590 0.419 0.255
Si 0.841 0.654 0.244
Si 0.929 0.815 0.748
O 0.046 0.418 0.244
O 0.075 0.261 0.894
O 0.122 0.076 0.379
O 0.169 0.786 0.748
O 0.260 0.154 0.628
O 0.287 0.004 0.119
O 0.370 0.377 0.752
O 0.384 0.468 0.403
O 0.451 0.626 0.879
O 0.549 0.374 0.121
O 0.616 0.532 0.597
O 0.630 0.623 0.248
O 0.713 0.996 0.881
O 0.740 0.846 0.372
O 0.831 0.214 0.252
O 0.878 0.924 0.621
O 0.925 0.739 0.106
O 0.954 0.582 0.756

Computed properties:
Total magnetic moment ... 7.00 μB/f.u.

***

Winner for stability: entry 2

***

Entry 1
K3Sr: optimized geometry, PBE.

Cell lengths 9.207, 9.207, 7.511 Å; angles 90.00, 90.00, 120.00 degrees
Atoms (fractional coordinates):
K 0.168 0.336 0.250
K 0.168 0.832 0.250
K 0.336 0.168 0.750
K 0.664 0.832 0.250
K 0.832 0.168 0.750
K 0.832 0.664 0.750
Sr 0.333 0.667 0.750
Sr 0.667 0.333 0.250

Computed properties:
Total magnetic moment ... 0.19 μB/f.u.

***

Entry 2
K3Sr: optimized geometry, PBE.

Cell lengths 10.332, 10.332, 10.332 Å; angles 90.00, 90.00, 90.00 degrees
Atoms (fractional coordinates):
K 0.000 0.000 0.000
K 0.000 0.500 0.500
K 0.250 0.250 0.250
K 0.250 0.250 0.750
K 0.250 0.750 0.250
K 0.250 0.750 0.750
K 0.500 0.000 0.500
K 0.500 0.500 0.000
K 0.750 0.250 0.250
K 0.750 0.250 0.750
K 0.750 0.750 0.250
K 0.750 0.750 0.750
Sr 0.000 0.000 0.500
Sr 0.000 0.500 0.000
Sr 0.500 0.000 0.000
Sr 0.500 0.500 0.500

Computed properties:
Total magnetic moment ... 0.00 μB/f.u.

***

Winner for stability: entry 2